(1)
Crystalline Fe6P4H17O27 at its relaxed geometry. Source: the Materials Project, functional PBE with a Hubbard U.

```
Fe6P4H17O27
1.0
2.606 10.511 0.000
-2.606 10.511 0.000
0.000 0.825 19.541
H O P Fe
34 54 8 12
Cartesian
0.953 16.165 4.880
-1.118 5.803 16.789
-0.953 5.682 14.661
0.142 18.434 12.646
-0.040 6.326 7.560
0.642 7.229 14.331
-1.591 8.746 13.703
0.642 15.032 14.980
0.996 4.118 0.230
1.879 10.769 7.306
0.142 3.826 16.665
1.591 8.333 3.933
0.953 5.269 4.891
0.996 17.317 9.540
-1.879 11.182 17.076
-0.040 15.109 2.210
1.879 10.666 2.464
1.591 13.101 5.838
0.040 15.522 11.980
-1.118 16.458 12.522
-0.642 6.816 4.560
2.205 10.717 4.885
-2.205 11.130 14.655
1.118 16.045 2.752
-0.953 16.578 14.650
-0.642 14.619 5.210
0.040 6.739 17.331
-0.996 4.530 10.001
-1.879 11.078 12.235
-0.142 18.022 2.875
-1.591 13.514 15.608
1.118 5.390 7.018
-0.996 17.730 19.310
-0.142 3.413 6.895
-2.406 10.760 2.114
0.354 13.223 17.567
-1.625 13.618 12.926
-2.406 10.675 7.656
-0.107 18.746 3.522
0.470 15.931 1.994
-1.219 12.928 19.536
1.625 8.229 6.614
1.286 9.342 9.401
0.064 7.207 10.032
-0.822 13.339 2.673
-0.064 6.794 0.262
-1.286 9.754 19.171
-0.126 4.482 10.479
0.276 11.075 3.274
2.406 11.173 11.885
0.126 4.070 0.708
-0.064 14.641 9.509
0.002 8.965 14.492
1.219 12.515 9.765
0.126 17.365 9.062
1.625 13.205 3.156
-0.276 10.773 16.266
1.286 12.093 0.370
-0.354 8.625 1.974
0.107 19.159 13.292
0.064 15.054 19.279
-0.276 11.488 13.045
-1.286 12.506 10.140
-1.625 8.642 16.385
0.798 6.263 14.183
-0.470 5.916 17.547
-0.002 8.552 4.721
1.219 8.920 0.005
0.354 9.038 11.744
-0.798 5.851 4.413
0.470 5.503 7.777
0.822 13.752 12.444
0.107 3.101 16.019
2.406 11.088 17.426
0.276 10.360 6.496
-0.822 8.096 7.097
0.798 15.997 15.128
-0.354 12.810 7.797
-2.028 10.717 4.885
-0.798 15.584 5.357
-0.126 17.778 18.832
-0.107 2.689 6.249
-0.002 12.882 5.049
0.822 8.508 16.867
0.002 13.295 14.819
-0.470 16.344 11.764
-1.219 9.332 9.775
2.028 11.130 14.655
-0.249 9.236 16.014
0.249 8.824 6.244
0.135 13.519 19.053
-0.135 8.329 0.488
-0.249 13.024 13.297
-0.135 13.106 9.283
0.135 8.741 10.258
0.249 12.611 3.527
0.191 19.120 8.143
-1.163 9.698 3.392
-1.303 5.256 0.000
1.303 5.668 9.770
0.191 2.314 1.627
1.163 10.110 13.163
0.000 0.000 0.000
-0.191 19.533 17.913
-1.163 11.737 6.378
-0.191 2.727 11.398
0.000 0.413 9.770
1.163 12.150 16.148
```

---

(2)
Crystalline FeP3H2O10 at its relaxed geometry. Source: the Materials Project, functional PBE with a Hubbard U.

```
FeP3H2O10
1.0
-2.156 -8.111 3.058
7.228 -1.439 1.280
3.593 3.409 11.575
O P Fe H
40 12 4 8
Cartesian
4.722 -4.967 3.602
5.558 -2.849 13.328
3.332 -6.171 8.150
7.549 -0.903 3.150
2.795 -4.370 5.184
7.404 -1.476 8.025
7.874 -4.377 13.043
8.304 -3.114 10.414
5.653 -4.027 8.355
5.333 0.031 7.762
3.805 -5.627 12.088
6.001 -6.371 7.365
5.931 -4.618 11.047
3.462 -1.762 9.953
0.361 -3.026 5.498
1.660 -5.717 10.065
3.943 -1.173 12.310
4.606 0.464 10.546
5.204 -4.378 5.959
8.060 -1.510 12.687
6.064 -6.195 13.074
1.962 -1.009 0.711
3.012 -2.113 7.558
2.665 0.231 8.547
2.601 0.055 2.838
1.117 -5.237 12.762
5.508 -7.067 10.824
5.870 -1.770 10.729
3.158 0.927 5.088
3.024 -3.083 13.721
4.860 -0.513 3.825
0.605 -4.630 3.225
4.060 -6.604 5.366
3.107 -3.291 2.585
5.641 -3.057 2.191
0.791 -1.763 2.869
1.261 -4.664 7.887
2.734 -1.522 4.865
6.703 -5.131 15.201
7.005 -0.423 5.848
6.755 -0.232 7.321
4.558 -1.022 10.851
2.485 -1.263 8.756
7.343 -5.555 13.842
3.394 -0.348 4.167
1.322 -0.585 2.070
5.272 -5.792 11.746
1.910 -5.908 8.591
4.405 -4.018 2.319
6.180 -4.877 7.157
4.107 -5.118 5.062
4.260 -2.122 13.594
4.452 -7.583 7.207
7.011 -3.009 11.913
4.214 1.443 8.705
1.655 -3.131 4.000
5.635 -2.243 2.738
5.781 -4.366 9.284
7.133 -1.662 8.949
5.140 1.658 11.764
1.532 -4.478 6.963
2.884 -1.774 6.628
3.031 -3.897 13.174
3.526 -7.798 4.149
```

---

(3)
Crystalline FePH4O6 at its relaxed geometry. Source: the Materials Project, functional PBE with a Hubbard U.

```
FePH4O6
1.0
-0.183 -8.686 -1.300
3.615 -1.449 9.168
-9.650 -0.357 3.749
O H P Fe
48 32 8 8
Cartesian
-5.666 -3.502 8.294
-7.560 -7.765 5.258
-6.383 -6.766 2.649
-0.553 -6.990 3.323
-7.180 -6.949 7.694
-4.142 -5.684 9.354
2.073 -5.741 8.981
-5.733 -7.562 9.981
-2.591 -9.305 8.123
-0.018 -10.158 9.108
1.342 -2.727 6.358
-3.467 -2.472 6.938
-4.481 -5.226 6.469
-4.777 -3.322 4.863
-2.950 -3.120 9.586
-1.371 -0.443 2.675
-0.485 -2.930 1.635
-4.338 -5.686 3.972
0.354 -0.849 5.021
-3.269 -7.373 2.031
-1.881 -4.806 7.645
-1.737 -5.266 5.147
1.930 -9.005 5.479
0.961 -3.543 3.923
-8.149 -1.488 6.138
-0.358 -9.737 6.218
0.184 -5.386 1.328
-4.848 -10.050 8.942
0.348 -5.371 6.630
-1.637 -2.690 4.430
-5.861 -0.755 5.399
-5.304 -3.145 2.144
2.798 -2.870 8.716
-1.442 -7.170 6.754
-6.402 -5.106 10.289
-2.752 -8.020 4.679
-9.017 -7.622 2.901
0.164 -3.726 8.967
-2.076 -4.808 2.263
-6.572 -9.643 6.596
-6.567 -5.121 4.987
-0.915 -7.347 9.472
-8.292 -4.751 2.636
-6.201 -0.334 2.509
-3.627 -1.187 3.494
-7.467 -2.466 3.756
1.248 -8.026 7.860
-4.582 -7.802 7.187
0.157 -2.830 9.416
-2.539 -2.226 6.751
-2.132 -4.141 10.526
-5.636 -8.610 11.202
-3.706 -8.159 7.508
-7.716 -3.372 3.407
-7.865 -4.082 7.177
-2.296 -7.836 5.561
-0.343 -7.967 3.390
-7.860 -2.302 4.660
1.498 -7.120 8.209
-0.148 -6.585 2.505
1.208 -3.367 4.885
1.646 -6.411 4.440
-0.724 -3.938 8.561
-5.495 -6.554 3.055
-0.583 -1.882 0.415
-7.427 -7.125 6.731
-1.833 -7.129 9.728
1.641 -8.190 6.957
-4.087 -6.351 1.090
-0.201 -7.548 -0.423
-1.683 -3.677 4.596
-4.386 -3.363 1.888
-6.071 -3.907 9.112
-2.513 -2.333 4.109
-3.679 -8.266 4.866
-5.876 -2.525 8.227
-6.018 -2.944 12.040
-3.923 -2.656 6.056
-6.376 -7.662 2.201
-4.535 -6.815 7.020
0.901 -1.234 6.424
-3.058 -8.774 1.382
-1.169 -5.650 6.542
-0.988 -4.357 1.264
-7.119 -9.258 5.193
-5.231 -6.135 10.353
-5.050 -4.842 5.075
-3.161 -1.718 10.235
-5.513 -1.795 3.749
1.649 -4.271 7.639
-0.706 -8.698 7.868
-3.742 -4.223 8.078
-0.122 -1.843 3.310
-7.868 -6.221 3.978
-6.096 -8.649 8.307
-2.477 -6.269 3.539
```

---

(4)
Crystalline FePH2O5 at its relaxed geometry. Source: the Materials Project, functional PBE with a Hubbard U.

```
FePH2O5
1.0
-3.071 -3.930 1.413
-3.071 3.930 1.413
-0.098 0.000 -7.548
Fe O H P
2 10 4 2
Cartesian
-1.585 1.965 -3.068
-1.536 -1.965 0.706
-4.946 -0.251 -2.669
-3.349 -2.407 -3.007
-3.300 2.407 0.767
-3.096 -0.910 -0.474
-1.296 0.251 -2.054
-4.897 0.251 1.106
-1.345 -0.251 -5.828
-2.892 2.407 -1.716
-3.145 0.910 -4.248
-2.941 -2.407 -5.490
-2.576 0.327 -4.859
-3.666 -0.327 0.136
-2.526 -0.327 -1.085
-3.715 0.327 -3.638
-3.096 3.286 -0.474
-3.145 -3.286 -4.248
```

---

Number 1: total DFT energy (no corrections) -655.31 eV/cell, energy of formation from the pure elements -1.7777 eV/atom. Number 2: total DFT energy (no corrections) -432.66 eV/cell, energy of formation from the pure elements -2.2698 eV/atom. Number 3: total DFT energy (no corrections) -579.64 eV/cell, energy of formation from the pure elements -1.8076 eV/atom. Number 4: total DFT energy (no corrections) -115.24 eV/cell, energy of formation from the pure elements -1.9892 eV/atom.